No. 1
A plane-wave DFT calculation with PBE was carried out for crystalline HfMg6Zn at its relaxed geometry.

Values from the calculation:
E above lowest polymorph in meV/atom: 0
Total magnetization in μB per atom: 0.000

Unit cell a=4.933 b=6.264 c=11.056 alpha=90.00 beta=90.00 gamma=90.00
Fractional positions:
Hf (0.000, 0.500, 0.177)
Hf (0.000, 0.000, 0.677)
Mg (0.500, 0.747, 0.084)
Mg (0.500, 0.253, 0.084)
Mg (0.500, 0.000, 0.332)
Mg (0.000, 0.255, 0.420)
Mg (0.000, 0.745, 0.420)
Mg (0.000, 0.000, 0.167)
Mg (0.500, 0.247, 0.584)
Mg (0.500, 0.753, 0.584)
Mg (0.500, 0.500, 0.832)
Mg (0.000, 0.755, 0.920)
Mg (0.000, 0.245, 0.920)
Mg (0.000, 0.500, 0.667)
Zn (0.500, 0.500, 0.318)
Zn (0.500, 0.000, 0.818)

***

No. 2
A plane-wave DFT calculation with PBE was carried out for crystalline Ca3Y2N4 at its relaxed geometry.

Values from the calculation:
E above lowest polymorph in meV/atom: 120
Total magnetization in μB per atom: 0.000

Unit cell a=6.138 b=12.336 c=9.306 alpha=90.00 beta=90.00 gamma=90.00
Fractional positions:
Ca (0.668, 0.181, 0.391)
Ca (0.832, 0.819, 0.391)
Ca (0.668, 0.319, 0.109)
Ca (0.832, 0.681, 0.109)
Ca (0.332, 0.819, 0.609)
Ca (0.168, 0.181, 0.609)
Ca (0.332, 0.681, 0.891)
Ca (0.168, 0.319, 0.891)
Ca (0.750, 0.500, 0.432)
Ca (0.750, 0.000, 0.068)
Ca (0.250, 0.500, 0.568)
Ca (0.250, 0.000, 0.932)
Y (0.750, 0.500, 0.814)
Y (0.750, 0.000, 0.686)
Y (0.250, 0.500, 0.186)
Y (0.250, 0.000, 0.314)
Y (0.710, 0.250, 0.750)
Y (0.790, 0.750, 0.750)
Y (0.290, 0.750, 0.250)
Y (0.210, 0.250, 0.250)
N (0.957, 0.385, 0.668)
N (0.543, 0.615, 0.668)
N (0.957, 0.115, 0.832)
N (0.543, 0.885, 0.832)
N (0.043, 0.615, 0.332)
N (0.457, 0.385, 0.332)
N (0.043, 0.885, 0.168)
N (0.457, 0.115, 0.168)
N (0.527, 0.363, 0.891)
N (0.973, 0.637, 0.891)
N (0.527, 0.137, 0.609)
N (0.973, 0.863, 0.609)
N (0.473, 0.637, 0.109)
N (0.027, 0.363, 0.109)
N (0.473, 0.863, 0.391)
N (0.027, 0.137, 0.391)

***

No. 3
A plane-wave DFT calculation with PBE was carried out for crystalline Ti6Ga16Rh7 at its relaxed geometry.

Values from the calculation:
E in eV per atom: -5.63
Total magnetization in μB per atom: 0.034

Unit cell a=8.637 b=8.637 c=8.637 alpha=60.00 beta=60.00 gamma=60.00
Fractional positions:
Ti (0.689, 0.311, 0.311)
Ti (0.689, 0.311, 0.689)
Ti (0.689, 0.689, 0.311)
Ti (0.311, 0.689, 0.689)
Ti (0.311, 0.689, 0.311)
Ti (0.311, 0.311, 0.689)
Ga (0.633, 0.122, 0.122)
Ga (0.122, 0.633, 0.122)
Ga (0.122, 0.122, 0.633)
Ga (0.122, 0.122, 0.122)
Ga (0.367, 0.878, 0.878)
Ga (0.878, 0.367, 0.878)
Ga (0.878, 0.878, 0.367)
Ga (0.878, 0.878, 0.878)
Ga (0.952, 0.349, 0.349)
Ga (0.349, 0.952, 0.349)
Ga (0.349, 0.349, 0.952)
Ga (0.349, 0.349, 0.349)
Ga (0.048, 0.651, 0.651)
Ga (0.651, 0.048, 0.651)
Ga (0.651, 0.651, 0.048)
Ga (0.651, 0.651, 0.651)
Rh (0.000, 0.000, 0.000)
Rh (0.500, 0.000, 0.000)
Rh (0.500, 0.000, 0.500)
Rh (0.500, 0.500, 0.000)
Rh (0.000, 0.500, 0.500)
Rh (0.000, 0.500, 0.000)
Rh (0.000, 0.000, 0.500)

***

Please write out number 2 again, unchanged.
A plane-wave DFT calculation with PBE was carried out for crystalline Ca3Y2N4 at its relaxed geometry.

Values from the calculation:
E above lowest polymorph in meV/atom: 120
Total magnetization in μB per atom: 0.000

Unit cell a=6.138 b=12.336 c=9.306 alpha=90.00 beta=90.00 gamma=90.00
Fractional positions:
Ca (0.668, 0.181, 0.391)
Ca (0.832, 0.819, 0.391)
Ca (0.668, 0.319, 0.109)
Ca (0.832, 0.681, 0.109)
Ca (0.332, 0.819, 0.609)
Ca (0.168, 0.181, 0.609)
Ca (0.332, 0.681, 0.891)
Ca (0.168, 0.319, 0.891)
Ca (0.750, 0.500, 0.432)
Ca (0.750, 0.000, 0.068)
Ca (0.250, 0.500, 0.568)
Ca (0.250, 0.000, 0.932)
Y (0.750, 0.500, 0.814)
Y (0.750, 0.000, 0.686)
Y (0.250, 0.500, 0.186)
Y (0.250, 0.000, 0.314)
Y (0.710, 0.250, 0.750)
Y (0.790, 0.750, 0.750)
Y (0.290, 0.750, 0.250)
Y (0.210, 0.250, 0.250)
N (0.957, 0.385, 0.668)
N (0.543, 0.615, 0.668)
N (0.957, 0.115, 0.832)
N (0.543, 0.885, 0.832)
N (0.043, 0.615, 0.332)
N (0.457, 0.385, 0.332)
N (0.043, 0.885, 0.168)
N (0.457, 0.115, 0.168)
N (0.527, 0.363, 0.891)
N (0.973, 0.637, 0.891)
N (0.527, 0.137, 0.609)
N (0.973, 0.863, 0.609)
N (0.473, 0.637, 0.109)
N (0.027, 0.363, 0.109)
N (0.473, 0.863, 0.391)
N (0.027, 0.137, 0.391)